Here is Mg14CrW after structural relaxation from the Materials Project. Energies are from PBE-GGA.

Output
symmetry = P-6m2 (187)
energy above the most stable polymorph in this dataset = 0.016 eV per atom
ΔH_f (0 K) = 0.220 eV per atom
E_tot = -2.593 eV per atom

a = 6.259 Å, b = 6.259 Å, c = 9.948 Å
α = 90.00°, β = 90.00°, γ = 120.00°
Fractional positions:
Mg1 0.326 0.174 0.871
Mg2 0.666 0.834 0.125
Mg3 0.847 0.174 0.379
Mg4 0.847 0.174 0.871
Mg5 0.666 0.331 0.625
W1 0.167 0.333 0.625
Mg6 0.168 0.834 0.125
Mg7 0.666 0.834 0.625
Mg8 0.326 0.174 0.379
Mg9 0.169 0.834 0.625
Cr1 0.167 0.333 0.125
Mg10 0.326 0.653 0.871
Mg11 0.326 0.653 0.379
Mg12 0.666 0.332 0.125
Mg13 0.833 0.667 0.875
Mg14 0.833 0.667 0.375